# Li5Fe5Si7O24 | Materials Project | PBE with a Hubbard U | optimized geometry
data_Li5Fe5Si7O24
_chemical_formula_sum 'Li5 Fe5 Si7 O24'
_cell_length_a 7.8487
_cell_length_b 7.9770
_cell_length_c 9.3185
_cell_angle_alpha 89.67
_cell_angle_beta 89.96
_cell_angle_gamma 89.66
_symmetry_space_group_name_H-M 'P 1'
_symmetry_Int_Tables_number 1
_symmetry_space_group_name_Hall 'P 1'
loop_
_atom_site_label
_atom_site_fract_x
_atom_site_fract_y
_atom_site_fract_z
Li1 0.0000 0.0000 0.0000
Li2 0.0577 0.5787 0.7413
Li3 0.2943 0.2559 0.2755
Li4 0.5126 0.5017 0.2442
Li5 0.7839 0.2403 0.9614
Fe1 0.1745 0.4347 0.5016
Fe2 0.3812 0.1789 0.9926
Fe3 0.6707 0.0662 0.7257
Fe4 0.8721 0.3235 0.2543
Fe5 0.9275 0.6166 0.9981
Si1 0.0896 0.1296 0.7356
Si2 0.1247 0.8475 0.4841
Si3 0.3518 0.5898 0.0031
Si4 0.4234 0.8799 0.2461
Si5 0.5881 0.3832 0.5032
Si6 0.6346 0.6584 0.7525
Si7 0.8270 0.9127 0.2491
O1 0.0839 0.3442 0.3366
O2 0.1171 0.3218 0.6754
O3 0.1208 0.6598 0.5558
O4 0.1316 0.9926 0.6080
O5 0.1624 0.6226 0.9366
O6 0.2011 0.0939 0.8826
O7 0.2985 0.8570 0.3852
O8 0.3675 0.0563 0.1708
O9 0.3721 0.4022 0.0787
O10 0.3975 0.3922 0.4269
O11 0.3984 0.7126 0.1427
O12 0.4968 0.6175 0.8818
O13 0.5802 0.1550 0.8973
O14 0.5951 0.5286 0.6235
O15 0.6120 0.8469 0.6942
O16 0.6266 0.8743 0.2914
O17 0.6331 0.2005 0.5653
O18 0.7051 0.4328 0.3632
O19 0.8295 0.6250 0.8121
O20 0.8435 0.4217 0.0725
O21 0.8510 0.1016 0.1821
O22 0.8957 0.8041 0.1119
O23 0.8984 0.1004 0.8042
O24 0.9507 0.8790 0.3882
# Calculated total energy, eV/cell: -286.349
# Offset from the most stable computed form, eV per formula unit: 0.00
# Formation energy from the elements, eV per atom: -2.573
# E (MP2020), eV/atom: -7.66